1.
A geometry-optimized LiCoO2 structure. Source: Materials Project, functional GGA+U.

Values from the calculation:
Formation enthalpy at 0 K: -165 kJ per mole of atoms
Total magnetic moment: 0.0 μB per cell
E (MP2020): -6.44 eV/atom

Structure (POSCAR):
```
LiCoO2
1.0
5.7718 0.0000 0.0000
-0.0943 5.7842 0.0000
-2.8250 -2.8786 4.1514
Li Co O
4 4 8
Direct
0.0000 0.0000 0.0000
0.0000 0.0000 0.5000
0.0000 0.5000 0.0000
0.5000 0.0000 0.5000
0.0000 0.5000 0.5000
0.5000 0.0000 0.0000
0.5000 0.5000 0.0000
0.5000 0.5000 0.5000
0.2565 0.7319 0.5060
0.2683 0.7433 0.9945
0.2695 0.2760 0.5290
0.2760 0.2693 0.0290
0.7240 0.7307 0.9710
0.7305 0.7240 0.4710
0.7317 0.2567 0.0055
0.7435 0.2681 0.4940
```

***

2.
A geometry-optimized Rb2Co2S3O12 structure. Source: Materials Project, functional GGA+U.

Values from the calculation:
Formation enthalpy at 0 K: -173 kJ per mole of atoms
Total magnetic moment: 7.9 μB per cell
E (MP2020): -6.42 eV/atom

Structure (POSCAR):
```
Rb2Co2S3O12
1.0
10.1715 0.0000 0.0000
0.0000 10.1715 0.0000
0.0000 0.0000 10.1715
Rb Co S O
8 8 12 48
Direct
0.0479 0.0479 0.0479
0.1833 0.3167 0.6833
0.3167 0.6833 0.1833
0.4521 0.9521 0.5479
0.5479 0.4521 0.9521
0.6833 0.1833 0.3167
0.8167 0.8167 0.8167
0.9521 0.5479 0.4521
0.0971 0.9029 0.4029
0.1653 0.6653 0.8347
0.3347 0.3347 0.3347
0.4029 0.0971 0.9029
0.5971 0.5971 0.5971
0.6653 0.8347 0.1653
0.8347 0.1653 0.6653
0.9029 0.4029 0.0971
0.0186 0.2159 0.3757
0.1243 0.9814 0.7159
0.2159 0.3757 0.0186
0.2841 0.6243 0.5186
0.3757 0.0186 0.2159
0.4814 0.7841 0.8757
0.5186 0.2841 0.6243
0.6243 0.5186 0.2841
0.7159 0.1243 0.9814
0.7841 0.8757 0.4814
0.8757 0.4814 0.7841
0.9814 0.7159 0.1243
0.0008 0.0581 0.7346
0.0095 0.0765 0.3303
0.0411 0.8026 0.2252
0.0581 0.7346 0.0008
0.0765 0.3303 0.0095
0.0980 0.8428 0.7528
0.1572 0.2528 0.4020
0.1697 0.9905 0.5765
0.1974 0.7252 0.4589
0.2252 0.0411 0.8026
0.2346 0.4992 0.9419
0.2472 0.5980 0.6572
0.2528 0.4020 0.1572
0.2654 0.5008 0.4419
0.2748 0.9589 0.3026
0.3026 0.2748 0.9589
0.3303 0.0095 0.0765
0.3428 0.7472 0.9020
0.4020 0.1572 0.2528
0.4235 0.6697 0.5095
0.4419 0.2654 0.5008
0.4589 0.1974 0.7252
0.4905 0.9235 0.8303
0.4992 0.9419 0.2346
0.5008 0.4419 0.2654
0.5095 0.4235 0.6697
0.5411 0.6974 0.7748
0.5581 0.7654 0.9992
0.5765 0.1697 0.9905
0.5980 0.6572 0.2472
0.6572 0.2472 0.5980
0.6697 0.5095 0.4235
0.6974 0.7748 0.5411
0.7252 0.4589 0.1974
0.7346 0.0008 0.0581
0.7472 0.9020 0.3428
0.7528 0.0980 0.8428
0.7654 0.9992 0.5581
0.7748 0.5411 0.6974
0.8026 0.2252 0.0411
0.8303 0.4905 0.9235
0.8428 0.7528 0.0980
0.9020 0.3428 0.7472
0.9235 0.8303 0.4905
0.9419 0.2346 0.4992
0.9589 0.3026 0.2748
0.9905 0.5765 0.1697
0.9992 0.5581 0.7654
```

***

3.
A geometry-optimized KUVO6 structure. Source: Materials Project, functional GGA+U.

Values from the calculation:
Formation enthalpy at 0 K: -289 kJ per mole of atoms
Total magnetic moment: 0.0 μB per cell
E (MP2020): -8.68 eV/atom
Energy above the most stable polymorph in this dataset: 0 meV/atom

Structure (POSCAR):
```
KUVO6
1.0
6.9325 0.0000 0.0000
0.0000 8.4844 0.0000
-2.7491 0.0000 10.2326
K U V O
4 4 4 24
Direct
0.0387 0.2322 0.3627
0.0387 0.2678 0.8627
0.9613 0.7322 0.1373
0.9613 0.7678 0.6373
0.4893 0.0206 0.1804
0.4893 0.4794 0.6804
0.5107 0.5206 0.3196
0.5107 0.9794 0.8196
0.3892 0.6481 0.9448
0.3892 0.8519 0.4448
0.6108 0.1481 0.5552
0.6108 0.3519 0.0552
0.1486 0.6349 0.9319
0.1486 0.8651 0.4319
0.2206 0.0606 0.1250
0.2206 0.4394 0.6250
0.2411 0.0190 0.7643
0.2411 0.4810 0.2643
0.4236 0.7102 0.7843
0.4236 0.7898 0.2843
0.4635 0.0597 0.3927
0.4635 0.4403 0.8927
0.4698 0.6552 0.5071
0.4698 0.8448 0.0071
0.5302 0.1552 0.9929
0.5302 0.3448 0.4929
0.5365 0.5597 0.1073
0.5365 0.9403 0.6073
0.5764 0.2102 0.7157
0.5764 0.2898 0.2157
0.7589 0.5190 0.7357
0.7589 0.9810 0.2357
0.7794 0.5606 0.3750
0.7794 0.9394 0.8750
0.8514 0.1349 0.5681
0.8514 0.3651 0.0681
```

***

4.
A geometry-optimized Li9Mn2Co5O16 structure. Source: Materials Project, functional GGA+U.

Values from the calculation:
Formation enthalpy at 0 K: -179 kJ per mole of atoms
Total magnetic moment: 8.0 μB per cell
E (MP2020): -6.55 eV/atom
Energy above the most stable polymorph in this dataset: 13 meV/atom

Structure (POSCAR):
```
Li9Mn2Co5O16
1.0
5.1226 -2.9098 0.0000
5.1226 2.9098 0.0000
-1.4759 0.0000 9.6331
Li Mn Co O
9 2 5 16
Direct
0.0000 0.0000 0.0000
0.1222 0.1222 0.7536
0.1231 0.6299 0.7516
0.3701 0.8769 0.2484
0.3734 0.3734 0.2455
0.6266 0.6266 0.7545
0.6299 0.1231 0.7516
0.8769 0.3701 0.2484
0.8778 0.8778 0.2464
0.0000 0.5000 0.0000
0.5000 0.0000 0.0000
0.2502 0.2502 0.5003
0.2503 0.7497 0.5000
0.5000 0.5000 0.0000
0.7497 0.2503 0.5000
0.7498 0.7498 0.4997
0.0609 0.0609 0.3821
0.0626 0.5626 0.3852
0.1934 0.6599 0.1056
0.1941 0.1941 0.1123
0.2977 0.2977 0.8827
0.3401 0.8066 0.8944
0.4374 0.9374 0.6148
0.4380 0.4380 0.6169
0.5620 0.5620 0.3831
0.5626 0.0626 0.3852
0.6599 0.1934 0.1056
0.7023 0.7023 0.1173
0.8059 0.8059 0.8877
0.8066 0.3401 0.8944
0.9374 0.4374 0.6148
0.9391 0.9391 0.6179
```

***

5.
A geometry-optimized MgFeSi2O6 structure. Source: Materials Project, functional GGA+U.

Values from the calculation:
Formation enthalpy at 0 K: -256 kJ per mole of atoms
Total magnetic moment: 4.0 μB per cell
E (MP2020): -7.72 eV/atom
Energy above the most stable polymorph in this dataset: 257 meV/atom

Structure (POSCAR):
```
MgFeSi2O6
1.0
6.7412 0.0000 0.0000
0.0000 1.3617 4.6838
0.0000 -1.3617 4.6838
Mg Fe Si O
1 1 2 6
Direct
0.0000 0.0000 0.0000
0.5000 0.5240 0.5240
0.2495 0.2637 0.2637
0.7505 0.2637 0.2637
0.0000 0.3336 0.3336
0.1957 0.6370 0.6370
0.2989 0.8872 0.8872
0.5000 0.1991 0.1991
0.7011 0.8872 0.8872
0.8043 0.6370 0.6370
```

***

6.
A geometry-optimized MgFeSi2O6 structure. Source: Materials Project, functional GGA+U.

Values from the calculation:
Formation enthalpy at 0 K: -278 kJ per mole of atoms
Total magnetic moment: 0.0 μB per cell
E (MP2020): -7.95 eV/atom
Energy above the most stable polymorph in this dataset: 28 meV/atom

Structure (POSCAR):
```
MgFeSi2O6
1.0
5.1875 0.0766 1.1511
-3.7177 6.3960 6.1081
-1.2873 -6.7130 6.2404
Mg Fe Si O
4 4 8 24
Direct
0.2500 0.5000 0.2556
0.7500 0.9999 0.7555
0.7501 0.5000 0.7445
0.2500 0.0000 0.2444
0.2500 0.0000 0.8989
0.7500 0.0000 0.1010
0.7500 0.5000 0.3990
0.2500 0.5000 0.6011
0.5405 0.2991 0.0870
0.0405 0.7991 0.5871
0.9595 0.7008 0.0871
0.4596 0.2009 0.5870
0.0405 0.2992 0.9129
0.5404 0.7991 0.4130
0.4596 0.7008 0.9130
0.9595 0.2009 0.4130
0.8449 0.3507 0.0320
0.3450 0.8507 0.5321
0.6550 0.6492 0.0320
0.1551 0.1493 0.5319
0.1551 0.6493 0.9680
0.6551 0.1493 0.4679
0.3450 0.3508 0.9680
0.8449 0.8507 0.4680
0.5075 0.3804 0.2365
0.0075 0.8804 0.7365
0.9925 0.6196 0.2365
0.4927 0.1196 0.7365
0.4926 0.6196 0.7635
0.9924 0.1196 0.2634
0.0075 0.3805 0.7635
0.5071 0.8802 0.2636
0.9645 0.1231 0.9083
0.4642 0.6229 0.4086
0.5359 0.8770 0.9085
0.0357 0.3770 0.4085
0.4644 0.1230 0.0915
0.9642 0.6230 0.5915
0.0355 0.8770 0.0915
0.5358 0.3770 0.5915
```

***

7.
A geometry-optimized Li4Ti3Nb2Fe3O16 structure. Source: Materials Project, functional GGA+U.

Values from the calculation:
Formation enthalpy at 0 K: -264 kJ per mole of atoms
Total magnetic moment: 0.0 μB per cell
E (MP2020): -8.31 eV/atom

Structure (POSCAR):
```
Li4Ti3Nb2Fe3O16
1.0
4.4744 0.1547 3.9831
-12.1845 -7.0011 13.9528
-0.8360 -5.0051 -3.3746
Li Ti Nb Fe O
8 6 4 6 32
Direct
0.6632 0.4525 0.3263
0.6632 0.9525 0.3262
0.0018 0.4931 0.0041
0.0019 0.9931 0.0041
0.0034 0.2466 0.0067
0.0034 0.7466 0.0067
0.3314 0.2040 0.6631
0.3315 0.7041 0.6631
0.1774 0.3672 0.3545
0.1775 0.8672 0.3545
0.8443 0.1101 0.1898
0.8443 0.6101 0.1899
0.3457 0.1098 0.1909
0.3456 0.6098 0.1908
0.6660 0.2495 0.3322
0.6661 0.7495 0.3322
0.3515 0.4938 0.7034
0.3514 0.9937 0.7033
0.8301 0.6050 0.6603
0.6627 0.8538 0.8306
0.1678 0.8539 0.8305
0.8298 0.1050 0.6603
0.6627 0.3538 0.8306
0.1678 0.3539 0.8305
0.5208 0.1669 0.0410
0.5208 0.6669 0.0410
0.6486 0.0538 0.2968
0.6485 0.5538 0.2967
0.0091 0.1523 0.0180
0.0091 0.6523 0.0180
0.0077 0.3991 0.0154
0.0077 0.8991 0.0154
0.1629 0.0524 0.3252
0.1628 0.5524 0.3252
0.8314 0.2864 0.6628
0.8314 0.7864 0.6629
0.3181 0.3063 0.6363
0.3182 0.8063 0.6365
0.4798 0.4289 0.9594
0.4798 0.9289 0.9593
0.8391 0.2944 0.1826
0.8391 0.7944 0.1826
0.3436 0.2945 0.1825
0.3436 0.7945 0.1826
0.9618 0.1689 0.4641
0.9619 0.6690 0.4640
0.5015 0.1691 0.4636
0.5017 0.6690 0.4637
0.4640 0.4250 0.4948
0.4640 0.9250 0.4947
0.0309 0.4251 0.4947
0.0310 0.9251 0.4947
0.6671 0.0459 0.8350
0.6670 0.5459 0.8351
0.1685 0.0458 0.8354
0.1683 0.5458 0.8354
```

***

8.
A geometry-optimized Nd2TeMo6H38O43 structure. Source: Materials Project, functional GGA+U.

Values from the calculation:
Formation enthalpy at 0 K: -155 kJ per mole of atoms
Total magnetic moment: 0.0 μB per cell
E (MP2020): -6.27 eV/atom

Structure (POSCAR):
```
Nd2TeMo6H38O43
1.0
9.5527 0.0000 0.0000
-3.9136 9.4743 0.0000
-2.8027 -2.3339 10.1650
Nd Te Mo H O
2 1 6 38 43
Direct
0.0000 0.0000 0.0000
0.3416 0.8077 0.4699
0.6696 0.4035 0.2332
0.5955 0.3215 0.9063
0.6322 0.6385 0.0495
0.6445 0.0917 0.0913
0.6920 0.7136 0.3737
0.7113 0.1711 0.4170
0.7419 0.4861 0.5600
0.0110 0.9912 0.5310
0.0240 0.2326 0.8216
0.0332 0.4999 0.3871
0.0418 0.4613 0.9733
0.0531 0.7431 0.5748
0.0570 0.1448 0.6036
0.0689 0.7350 0.9054
0.0742 0.3938 0.7070
0.0821 0.9020 0.3140
0.1287 0.1578 0.2982
0.1426 0.0391 0.7651
0.1568 0.3356 0.0882
0.1848 0.4735 0.3843
0.1957 0.7666 0.7033
0.2123 0.6495 0.1719
0.2413 0.3904 0.7784
0.2450 0.6398 0.8643
0.2585 0.9050 0.1538
0.2748 0.0758 0.5639
0.2869 0.0621 0.8928
0.3068 0.3087 0.0804
0.3124 0.3401 0.4933
0.3318 0.8035 0.9359
0.3537 0.0758 0.1769
0.3685 0.3740 0.3723
0.3791 0.6344 0.7101
0.3966 0.7401 0.2011
0.4387 0.1431 0.5277
0.4805 0.6078 0.6258
0.5807 0.0573 0.7280
0.5869 0.9130 0.7633
0.7558 0.7491 0.7412
0.7734 0.8998 0.7065
0.8571 0.1861 0.8426
0.9050 0.6643 0.9414
0.9437 0.0670 0.2675
0.9714 0.4326 0.0895
0.9872 0.7315 0.2930
0.0378 0.0638 0.2475
0.0725 0.4675 0.0679
0.0947 0.8140 0.3320
0.0984 0.0702 0.6036
0.1383 0.5449 0.3733
0.1454 0.3958 0.7915
0.1692 0.0276 0.8577
0.1707 0.7783 0.6109
0.2018 0.2627 0.0941
0.2355 0.7320 0.8638
0.2458 0.9938 0.1388
0.2717 0.3379 0.4002
0.3029 0.7439 0.2217
0.3475 0.0528 0.5240
0.3963 0.6421 0.6255
0.4267 0.3097 0.7866
0.4695 0.6157 0.9170
0.4985 0.1359 0.9541
0.4981 0.9177 0.0700
0.5147 0.4040 0.0731
0.5429 0.9532 0.6931
0.5512 0.1978 0.2282
0.5562 0.7327 0.4510
0.5572 0.6842 0.1935
0.5624 0.0018 0.4142
0.5722 0.4697 0.3503
0.6186 0.2763 0.5084
0.6256 0.5359 0.6415
0.7100 0.2696 0.8246
0.7238 0.5306 0.9601
0.7657 0.3362 0.1157
0.7784 0.0705 0.0131
0.7805 0.1212 0.2704
0.7856 0.8511 0.7790
0.7866 0.8076 0.0605
0.7890 0.6093 0.2406
0.8248 0.4045 0.3936
0.8378 0.8878 0.3949
0.8385 0.6722 0.5129
0.8852 0.2031 0.5427
0.9115 0.5022 0.6803
0.9387 0.1505 0.8388
0.9940 0.7557 0.9445
```